K3AlSe3: optimized geometry, PBE.

Cell lengths 8.196, 13.313, 10.571 Å; angles 90.00, 127.82, 90.00 degrees
Sites, in units of the cell vectors:
K1 0.123 0.119 0.470
K2 0.123 0.381 0.970
K3 0.178 0.102 0.899
K4 0.178 0.398 0.399
K5 0.349 0.688 0.575
K6 0.349 0.812 0.075
K7 0.651 0.188 0.925
K8 0.651 0.312 0.425
K9 0.822 0.602 0.601
K10 0.822 0.898 0.101
K11 0.877 0.619 0.030
K12 0.877 0.881 0.530
Al1 0.443 0.062 0.342
Al2 0.443 0.438 0.842
Al3 0.557 0.562 0.158
Al4 0.557 0.938 0.658
Se1 0.175 0.186 0.199
Se2 0.175 0.314 0.699
Se3 0.328 0.601 0.868
Se4 0.328 0.899 0.368
Se5 0.371 0.547 0.262
Se6 0.371 0.953 0.762
Se7 0.629 0.047 0.238
Se8 0.629 0.453 0.738
Se9 0.672 0.101 0.632
Se10 0.672 0.399 0.132
Se11 0.825 0.686 0.301
Se12 0.825 0.814 0.801

The density is 2779 kg/m³. The value obtained for the total energy is -3.6979 eV/atom.


KAlSi2: optimized geometry, PBE.

Cell lengths 9.717, 9.717, 9.717 Å; angles 109.65, 109.65, 109.12 degrees
Sites, in units of the cell vectors:
K1 0.002 0.252 0.503
K2 0.248 0.498 0.997
K3 0.252 0.248 0.250
K4 0.498 0.002 0.250
K5 0.502 0.998 0.750
K6 0.748 0.752 0.750
K7 0.752 0.502 0.003
K8 0.998 0.748 0.497
Al1 0.041 0.459 0.250
Al2 0.209 0.959 0.917
Al3 0.291 0.209 0.750
Al4 0.459 0.709 0.417
Al5 0.541 0.291 0.583
Al6 0.709 0.791 0.250
Al7 0.791 0.041 0.083
Al8 0.959 0.541 0.750
Si1 0.034 0.081 0.788
Si2 0.081 0.793 0.047
Si3 0.207 0.754 0.288
Si4 0.246 0.034 0.453
Si5 0.254 0.707 0.788
Si6 0.293 0.581 0.547
Si7 0.419 0.466 0.712
Si8 0.466 0.254 0.047
Si9 0.534 0.746 0.953
Si10 0.581 0.534 0.288
Si11 0.707 0.419 0.453
Si12 0.746 0.293 0.212
Si13 0.754 0.966 0.547
Si14 0.793 0.246 0.712
Si15 0.919 0.207 0.953
Si16 0.966 0.919 0.212

The density is 2300 kg/m³. The value obtained for the total energy is -3.9076 eV/atom.


KAlTe2: optimized geometry, PBE.

Cell lengths 7.115, 7.115, 7.115 Å; angles 104.08, 104.08, 120.90 degrees
Sites, in units of the cell vectors:
K1 0.250 0.250 0.000
K2 0.750 0.750 0.000
Al1 0.250 0.750 0.500
Al2 0.750 0.250 0.500
Te1 0.163 0.663 0.826
Te2 0.337 0.163 0.500
Te3 0.663 0.837 0.500
Te4 0.837 0.337 0.174

The density is 3968 kg/m³. The value obtained for the total energy is -3.5709 eV/atom.


KAlTe2: optimized geometry, PBE.

Cell lengths 8.465, 8.465, 16.821 Å; angles 97.24, 97.24, 89.96 degrees
Sites, in units of the cell vectors:
K1 0.151 0.779 0.609
K2 0.221 0.346 0.882
K3 0.221 0.849 0.891
K4 0.346 0.221 0.382
K5 0.654 0.779 0.618
K6 0.779 0.151 0.109
K7 0.779 0.654 0.118
K8 0.849 0.221 0.391
Al1 0.088 0.710 0.338
Al2 0.290 0.912 0.162
Al3 0.291 0.419 0.163
Al4 0.419 0.291 0.663
Al5 0.581 0.709 0.337
Al6 0.709 0.581 0.837
Al7 0.710 0.088 0.838
Al8 0.912 0.290 0.662
Te1 0.053 0.428 0.251
Te2 0.053 0.947 0.250
Te3 0.142 0.266 0.567
Te4 0.265 0.640 0.064
Te5 0.266 0.142 0.067
Te6 0.360 0.735 0.436
Te7 0.428 0.053 0.751
Te8 0.428 0.572 0.750
Te9 0.572 0.428 0.250
Te10 0.572 0.947 0.249
Te11 0.640 0.265 0.564
Te12 0.734 0.858 0.933
Te13 0.735 0.360 0.936
Te14 0.858 0.734 0.433
Te15 0.947 0.053 0.750
Te16 0.947 0.572 0.749

The density is 3599 kg/m³. The value obtained for the total energy is -3.5792 eV/atom.


The lowest density belongs to which entry?
KAlSi2


What did the fourth record say?
KAlTe2: optimized geometry, PBE.

Cell lengths 8.465, 8.465, 16.821 Å; angles 97.24, 97.24, 89.96 degrees
Sites, in units of the cell vectors:
K1 0.151 0.779 0.609
K2 0.221 0.346 0.882
K3 0.221 0.849 0.891
K4 0.346 0.221 0.382
K5 0.654 0.779 0.618
K6 0.779 0.151 0.109
K7 0.779 0.654 0.118
K8 0.849 0.221 0.391
Al1 0.088 0.710 0.338
Al2 0.290 0.912 0.162
Al3 0.291 0.419 0.163
Al4 0.419 0.291 0.663
Al5 0.581 0.709 0.337
Al6 0.709 0.581 0.837
Al7 0.710 0.088 0.838
Al8 0.912 0.290 0.662
Te1 0.053 0.428 0.251
Te2 0.053 0.947 0.250
Te3 0.142 0.266 0.567
Te4 0.265 0.640 0.064
Te5 0.266 0.142 0.067
Te6 0.360 0.735 0.436
Te7 0.428 0.053 0.751
Te8 0.428 0.572 0.750
Te9 0.572 0.428 0.250
Te10 0.572 0.947 0.249
Te11 0.640 0.265 0.564
Te12 0.734 0.858 0.933
Te13 0.735 0.360 0.936
Te14 0.858 0.734 0.433
Te15 0.947 0.053 0.750
Te16 0.947 0.572 0.749

The density is 3599 kg/m³. The value obtained for the total energy is -3.5792 eV/atom.


What is the density in the fourth record?
3599 kg/m³


What is the density in the second record?
2300 kg/m³